Here is Lu2Ni3B6 after structural relaxation from the Materials Project. Energies are from r2SCAN.

extended XYZ file:
```
11
Lattice="-0.4388 3.3064 -0.6889 -1.3631 -1.3046 -5.3930 -5.3031 -0.2640 2.1102" Properties=species:S:1:pos:R:3 pbc="T T T"
Lu -2.4502 -1.0175 -3.3228
Lu -4.2160 -0.5512 0.0400
Ni -5.1540 -1.2128 -2.5381
Ni -1.5122 -0.3558 -0.7447
Ni -0.2194 1.6532 -0.3445
B -4.3018 0.6925 -2.3549
B -2.8032 1.0452 -1.6169
B -4.7393 0.2937 -3.9902
B -2.3657 1.4440 0.0184
B -5.9240 0.6066 -1.7339
B -1.1809 1.1310 -2.2379
```

Here is Ho5Ge2Sb2 after structural relaxation from the Materials Project. Energies are from r2SCAN.

extended XYZ file:
```
18
Lattice="3.9376 -7.4934 0.0000 3.9376 7.4934 0.0000 0.0000 0.0000 7.8979" Properties=species:S:1:pos:R:3 pbc="T T T"
Ho 1.2693 1.8891 2.6786
Ho 6.6059 -1.8891 5.2193
Ho 2.6683 -1.8891 6.6275
Ho 5.2069 -1.8891 1.2704
Ho 5.2069 1.8891 1.2704
Ho 2.6683 1.8891 6.6275
Ho 6.6059 1.8891 5.2193
Ho 1.2693 -1.8891 2.6786
Ho 0.0000 0.0000 0.0000
Ho 3.9376 0.0000 3.9489
Ge 2.8112 0.0000 1.1187
Ge 5.0640 0.0000 6.7791
Ge 1.1264 0.0000 5.0677
Ge 6.7488 0.0000 2.8302
Sb 3.9376 -4.4338 0.0000
Sb 3.9376 4.4338 0.0000
Sb 3.9376 -3.0596 3.9489
Sb 3.9376 3.0596 3.9489
```

| no. | formation energy (eV/atom) | calculated total energy (Ry/atom) |
| --- | --- | --- |
| 1 | -0.6474 | -1.091 |
| 2 | -1.1198 | -2.071 |